1.
Na6Ca3GeP4S2O24 | PBE | relaxed

Space-group type: P1, No. 1
Size of the total moment in μB/f.u.: 0.000
DFT formation energy in meV/atom: -2608

a b c (Å): 9.233 9.244 22.641
angles (deg): 90.46 89.73 119.96
Fractional positions:
Na  0.362  0.361  0.257
Na  0.654  0.657  0.747
Na  0.998  0.350  0.755
Na  0.295  0.348  0.580
Na  0.028  0.692  0.579
Na  0.670  0.955  0.578
Na  0.292  0.961  0.075
Na  0.657  0.688  0.078
Na  0.047  0.344  0.077
Na  0.321  0.300  0.910
Na  0.990  0.317  0.415
Na  0.675  0.666  0.415
Na  0.008  0.000  0.494
Na  0.990  0.979  0.991
Na  0.654  0.303  0.833
Na  0.661  0.309  0.337
Na  0.323  0.672  0.173
Na  0.339  0.673  0.674
Ca  0.002  0.993  0.352
Ca  0.000  0.998  0.852
Ca  0.993  0.007  0.655
Ca  0.000  0.993  0.148
Ca  0.655  0.325  0.689
Ca  0.677  0.338  0.186
Ca  0.335  0.670  0.011
Ca  0.332  0.670  0.509
Ca  0.337  0.682  0.325
Ge  0.670  0.347  0.973
Ge  0.674  0.340  0.482
Ge  0.345  0.672  0.828
P  0.306  0.330  0.758
P  0.675  0.980  0.754
P  0.953  0.330  0.582
P  0.670  0.624  0.582
P  0.949  0.620  0.075
P  0.379  0.329  0.077
P  0.632  0.654  0.920
P  0.025  0.379  0.919
P  0.355  0.978  0.921
P  0.645  0.992  0.425
P  0.350  0.356  0.421
P  0.010  0.654  0.425
S  0.307  0.998  0.246
S  0.683  0.691  0.250
S  0.009  0.310  0.251
S  0.016  0.698  0.750
S  0.372  0.046  0.580
S  0.673  0.047  0.078
O  0.205  0.004  0.295
O  0.775  0.785  0.303
O  0.008  0.215  0.304
O  0.222  0.221  0.811
O  0.992  0.787  0.799
O  0.805  0.006  0.800
O  0.725  0.936  0.694
O  0.202  0.261  0.701
O  0.030  0.782  0.693
O  0.771  0.777  0.195
O  0.013  0.223  0.195
O  0.226  0.990  0.188
O  0.873  0.340  0.639
O  0.465  0.120  0.634
O  0.652  0.529  0.638
O  0.870  0.516  0.130
O  0.655  0.121  0.133
O  0.474  0.341  0.134
O  0.477  0.313  0.020
O  0.834  0.526  0.018
O  0.690  0.150  0.026
O  0.461  0.150  0.527
O  0.684  0.524  0.525
O  0.840  0.316  0.526
O  0.563  0.672  0.979
O  0.115  0.447  0.977
O  0.336  0.897  0.981
O  0.576  0.892  0.482
O  0.323  0.438  0.477
O  0.101  0.681  0.483
O  0.101  0.621  0.374
O  0.534  0.905  0.372
O  0.387  0.471  0.367
O  0.130  0.503  0.865
O  0.377  0.871  0.869
O  0.503  0.627  0.867
O  0.967  0.793  0.416
O  0.825  0.023  0.417
O  0.196  0.183  0.414
O  0.009  0.208  0.909
O  0.210  0.007  0.910
O  0.807  0.795  0.910
O  0.969  0.170  0.579
O  0.205  0.034  0.581
O  0.833  0.796  0.580
O  0.954  0.791  0.076
O  0.826  0.030  0.079
O  0.203  0.169  0.075
O  0.655  0.135  0.753
O  0.489  0.370  0.754
O  0.868  0.524  0.749
O  0.663  0.521  0.253
O  0.862  0.332  0.253
O  0.471  0.155  0.250
O  0.627  0.478  0.917
O  0.846  0.364  0.918
O  0.522  0.158  0.920
O  0.660  0.171  0.430
O  0.515  0.345  0.428
O  0.833  0.483  0.426
O  0.358  0.485  0.075
O  0.129  0.651  0.072
O  0.524  0.875  0.076
O  0.349  0.875  0.576
O  0.516  0.648  0.576
O  0.130  0.486  0.577
O  0.330  0.851  0.249
O  0.513  0.671  0.248
O  0.168  0.474  0.251
O  0.310  0.507  0.767
O  0.170  0.683  0.757
O  0.499  0.814  0.768

---

2.
BaLaI5 | PBE | relaxed

Space-group type: P2_1/c, No. 14
Size of the total moment in μB/f.u.: 0.001
Relative energy among the computed polymorphs in eV/atom: 0.033
DFT formation energy in meV/atom: -1867

a b c (Å): 11.492 8.908 14.585
angles (deg): 62.40 90.00 90.00
Fractional positions:
Ba  0.469  0.868  0.296
Ba  0.031  0.868  0.796
Ba  0.969  0.132  0.204
Ba  0.531  0.132  0.704
La  0.655  0.505  0.139
La  0.155  0.495  0.361
La  0.845  0.505  0.639
La  0.345  0.495  0.861
I  0.702  0.852  0.147
I  0.188  0.878  0.175
I  0.176  0.547  0.013
I  0.924  0.481  0.244
I  0.479  0.261  0.075
I  0.979  0.739  0.425
I  0.424  0.519  0.256
I  0.798  0.852  0.647
I  0.676  0.453  0.487
I  0.312  0.878  0.675
I  0.688  0.122  0.325
I  0.324  0.547  0.513
I  0.202  0.148  0.353
I  0.576  0.481  0.744
I  0.021  0.261  0.575
I  0.521  0.739  0.925
I  0.076  0.519  0.756
I  0.824  0.453  0.987
I  0.812  0.122  0.825
I  0.298  0.148  0.853

---

3.
Sm2SbS | PBE | relaxed

Space-group type: P4/mmm, No. 123
Size of the total moment in μB/f.u.: 0.000
DFT formation energy in meV/atom: -1630

a b c (Å): 4.277 4.277 6.040
angles (deg): 90.00 90.00 90.00
Fractional positions:
Sm  0.000  0.000  0.500
Sm  0.500  0.500  0.000
Sb  0.000  0.000  0.000
S  0.500  0.500  0.500

---

4.
Cs2CuBiI6 | PBE | relaxed

Space-group type: Fm-3m, No. 225
Size of the total moment in μB/f.u.: 0.001
DFT formation energy in meV/atom: -1035

a b c (Å): 8.465 8.465 8.465
angles (deg): 60.00 60.00 60.00
Fractional positions:
Cs  0.750  0.750  0.750
Cs  0.250  0.250  0.250
Cu  0.500  0.500  0.500
Bi  0.000  0.000  0.000
I  0.740  0.260  0.260
I  0.260  0.260  0.740
I  0.260  0.740  0.740
I  0.260  0.740  0.260
I  0.740  0.260  0.740
I  0.740  0.740  0.260

---

5.
Zr2Ir | PBE | relaxed

Space-group type: Fd-3m, No. 227
DFT formation energy in meV/atom: -626

a b c (Å): 8.873 8.873 8.873
angles (deg): 60.00 60.00 60.00
Fractional positions:
Zr  0.125  0.625  0.625
Zr  0.625  0.125  0.625
Zr  0.625  0.625  0.125
Zr  0.625  0.625  0.625
Zr  0.813  0.813  0.187
Zr  0.187  0.187  0.813
Zr  0.813  0.187  0.813
Zr  0.187  0.813  0.187
Zr  0.187  0.813  0.813
Zr  0.813  0.187  0.187
Zr  0.437  0.437  0.063
Zr  0.063  0.063  0.437
Zr  0.437  0.063  0.437
Zr  0.063  0.437  0.063
Zr  0.063  0.437  0.437
Zr  0.437  0.063  0.063
Ir  0.793  0.402  0.402
Ir  0.402  0.793  0.402
Ir  0.402  0.402  0.793
Ir  0.402  0.402  0.402
Ir  0.457  0.848  0.848
Ir  0.848  0.457  0.848
Ir  0.848  0.848  0.457
Ir  0.848  0.848  0.848

---

6.
Rb3MgH5 | PBE | relaxed

Space-group type: P4/ncc, No. 130
Size of the total moment in μB/f.u.: 0.000
DFT formation energy in meV/atom: -288

a b c (Å): 8.072 8.072 12.329
angles (deg): 90.00 90.00 90.00
Fractional positions:
Rb  0.000  0.500  0.488
Rb  0.500  0.000  0.012
Rb  0.500  0.000  0.512
Rb  0.000  0.500  0.988
Rb  0.687  0.687  0.750
Rb  0.813  0.187  0.750
Rb  0.187  0.813  0.750
Rb  0.313  0.313  0.750
Rb  0.813  0.813  0.250
Rb  0.687  0.313  0.250
Rb  0.313  0.687  0.250
Rb  0.187  0.187  0.250
Mg  0.000  0.000  0.500
Mg  0.500  0.500  0.500
Mg  0.500  0.500  0.000
Mg  0.000  0.000  0.000
H  0.000  0.500  0.729
H  0.500  0.000  0.771
H  0.500  0.000  0.271
H  0.000  0.500  0.229
H  0.401  0.653  0.592
H  0.599  0.347  0.592
H  0.653  0.401  0.908
H  0.153  0.099  0.592
H  0.847  0.901  0.592
H  0.099  0.153  0.908
H  0.901  0.847  0.908
H  0.347  0.599  0.908
H  0.099  0.847  0.408
H  0.901  0.153  0.408
H  0.847  0.099  0.092
H  0.347  0.401  0.408
H  0.153  0.901  0.092
H  0.599  0.653  0.092
H  0.401  0.347  0.092
H  0.653  0.599  0.408

---

7.
Ni2GeP | PBE | relaxed

Space-group type: Pbca, No. 61
Size of the total moment in μB/f.u.: 0.000
DFT formation energy in meV/atom: -362

a b c (Å): 4.983 6.100 13.987
angles (deg): 90.00 90.00 90.00
Fractional positions:
Ni  0.997  0.268  0.075
Ni  0.504  0.240  0.802
Ni  0.496  0.260  0.302
Ni  0.004  0.760  0.698
Ni  0.996  0.240  0.302
Ni  0.496  0.760  0.198
Ni  0.504  0.740  0.698
Ni  0.004  0.260  0.802
Ni  0.997  0.768  0.425
Ni  0.503  0.768  0.925
Ni  0.003  0.232  0.575
Ni  0.003  0.732  0.925
Ni  0.503  0.268  0.575
Ni  0.497  0.232  0.075
Ni  0.996  0.740  0.198
Ni  0.497  0.732  0.425
Ge  0.770  0.408  0.440
Ge  0.270  0.592  0.060
Ge  0.730  0.908  0.560
Ge  0.230  0.092  0.940
Ge  0.230  0.592  0.560
Ge  0.730  0.408  0.940
Ge  0.270  0.092  0.440
Ge  0.770  0.908  0.060
P  0.735  0.430  0.186
P  0.765  0.430  0.686
P  0.265  0.570  0.814
P  0.265  0.070  0.686
P  0.765  0.930  0.814
P  0.235  0.570  0.314
P  0.735  0.930  0.314
P  0.235  0.070  0.186

---

8.
TbNi | PBE | relaxed

Space-group type: Pnma, No. 62
DFT formation energy in meV/atom: -431

a b c (Å): 4.209 5.430 21.009
angles (deg): 90.00 90.00 90.00
Fractional positions:
Tb  0.750  0.631  0.107
Tb  0.250  0.131  0.393
Tb  0.750  0.869  0.607
Tb  0.750  0.381  0.271
Tb  0.750  0.861  0.939
Tb  0.750  0.119  0.771
Tb  0.250  0.881  0.229
Tb  0.750  0.639  0.439
Tb  0.250  0.361  0.561
Tb  0.250  0.369  0.893
Tb  0.250  0.139  0.061
Tb  0.250  0.619  0.729
Ni  0.250  0.878  0.846
Ni  0.750  0.361  0.988
Ni  0.750  0.610  0.821
Ni  0.250  0.639  0.012
Ni  0.750  0.378  0.654
Ni  0.250  0.390  0.179
Ni  0.250  0.861  0.512
Ni  0.750  0.122  0.154
Ni  0.750  0.139  0.488
Ni  0.750  0.890  0.321
Ni  0.250  0.110  0.679
Ni  0.250  0.622  0.346

---

What is the formula in the seventh record? Ni2GeP